(1)
The following is a GGA-PBE calculation of a geometry-optimized Nd2SO2 structure, from Materials Project.

Summary:
- SG: No. 164

Cell: 3.9828 3.9828 6.8492 Å, 90.00 90.00 120.00°
Positions (direct):
1 Nd 0.3333 0.6667 0.2805
2 Nd 0.6667 0.3333 0.7195
3 S 0.0000 0.0000 0.0000
4 O 0.3333 0.6667 0.6294
5 O 0.6667 0.3333 0.3706

(2)
The following is a GGA-PBE calculation of a geometry-optimized Na3LaZrSi2SO12 structure, from Materials Project.

Cell: 9.5544 9.5544 23.1639 Å, 89.41 90.59 120.27°
Positions (direct):
1 O 0.8775 0.5354 0.1451
2 O 0.7794 0.0091 0.7976
3 La 0.9797 0.9890 0.8487
4 La 0.6463 0.3223 0.1820
5 O 0.8538 0.4991 0.4167
6 O 0.0015 0.7747 0.8167
7 Si 0.9633 0.6323 0.0866
8 Na 0.9619 0.9978 0.9968
9 O 0.0178 0.1930 0.9160
10 Si 0.2966 0.2990 0.7533
11 O 0.3609 0.4986 0.3688
12 Zr 0.6899 0.3360 0.9818
13 O 0.6961 0.5656 0.5268
14 Si 0.6299 0.9656 0.4200
15 O 0.6943 0.1653 0.0355
16 O 0.7980 0.7892 0.3118
17 O 0.0276 0.8319 0.7021
18 O 0.7677 0.9706 0.6934
19 O 0.4830 0.1232 0.2498
20 Si 0.0211 0.7059 0.7558
21 O 0.8756 0.3434 0.2415
22 O 0.2871 0.8002 0.2549
23 Na 0.9907 0.6423 0.2443
24 O 0.1675 0.4795 0.2500
25 O 0.5435 0.8503 0.0832
26 O 0.8163 0.7898 0.9165
27 La 0.3443 0.6870 0.0153
28 Na 0.6285 0.3311 0.3301
29 O 0.9538 0.1336 0.5883
30 Na 0.3355 0.7048 0.1634
31 O 0.1011 0.6372 0.3601
32 O 0.6566 0.1244 0.7415
33 O 0.5441 0.8687 0.4785
34 O 0.5331 0.3795 0.4216
35 Si 0.0344 0.3701 0.9200
36 O 0.8403 0.5304 0.0301
37 O 0.3242 0.8873 0.9643
38 O 0.3349 0.4413 0.4834
39 O 0.8070 0.9822 0.4160
40 Si 0.7010 0.7034 0.2533
41 O 0.8029 0.8264 0.1968
42 Na 0.6739 0.6994 0.0727
43 O 0.1313 0.4559 0.9785
44 O 0.6845 0.5263 0.2493
45 O 0.4646 0.1225 0.6451
46 Zr 0.3306 0.6434 0.8151
47 Si 0.6878 0.0392 0.0891
48 S 0.3489 0.3167 0.0780
49 O 0.1904 0.0341 0.5881
50 O 0.5014 0.6391 0.8688
51 O 0.1998 0.7129 0.7549
52 Na 0.6574 0.9756 0.5776
53 O 0.4461 0.3425 0.1309
54 O 0.8570 0.3674 0.9214
55 O 0.6205 0.4669 0.9216
56 Zr 0.0232 0.0027 0.6484
57 Si 0.6275 0.6455 0.9224
58 La 0.3130 0.6557 0.5153
59 O 0.8768 0.5170 0.7498
60 O 0.6575 0.5539 0.6309
61 O 0.5423 0.6767 0.5748
62 O 0.5009 0.1462 0.9167
63 O 0.2089 0.0100 0.9081
64 O 0.4696 0.1597 0.5301
65 S 0.6833 0.6511 0.5780
66 Si 0.3677 0.0367 0.5866
67 O 0.8347 0.3057 0.5355
68 O 0.2108 0.2020 0.8118
69 Zr 0.9973 0.9768 0.1484
70 O 0.9909 0.2206 0.2976
71 O 0.6326 0.1430 0.4214
72 O 0.5069 0.8637 0.3635
73 O 0.8920 0.3318 0.6501
74 O 0.2992 0.4763 0.7548
75 O 0.5237 0.7008 0.2548
76 Na 0.0022 0.0381 0.4968
77 Na 0.9673 0.6595 0.9060
78 Na 0.3577 0.0093 0.7443
79 Si 0.3545 0.3725 0.4224
80 Na 0.3006 0.3261 0.5726
81 O 0.8664 0.0462 0.0883
82 O 0.1681 0.9724 0.2021
83 O 0.8342 0.8128 0.5834
84 O 0.6682 0.1080 0.1501
85 Na 0.3405 0.0327 0.4060
86 Si 0.9608 0.3122 0.5891
87 Na 0.0072 0.3661 0.7393
88 Zr 0.6640 0.3101 0.4818
89 O 0.2253 0.9985 0.3167
90 S 0.0166 0.3178 0.2446
91 O 0.9659 0.8096 0.0881
92 O 0.1497 0.4565 0.5832
93 O 0.9900 0.7911 0.4081
94 Zr 0.3566 0.6694 0.3151
95 La 0.6777 0.3537 0.6820
96 O 0.3628 0.8989 0.8601
97 O 0.5205 0.8325 0.7500
98 S 0.0155 0.6500 0.4113
99 Na 0.3240 0.3090 0.9109
100 O 0.1404 0.6488 0.0826
101 O 0.3233 0.4577 0.0748
102 O 0.1872 0.1658 0.0834
103 O 0.2102 0.1837 0.4165
104 O 0.4344 0.3039 0.0268
105 O 0.1363 0.4931 0.8635
106 Na 0.6689 0.3715 0.8301
107 Na 0.6339 0.9928 0.2393
108 O 0.3512 0.8596 0.5826
109 O 0.4737 0.3155 0.7493
110 O 0.1127 0.6758 0.4643
111 S 0.3500 0.9845 0.9113
112 La 0.0110 0.0203 0.3487
113 Na 0.2952 0.6645 0.6634
114 S 0.6822 0.9834 0.7446
115 O 0.1736 0.1971 0.6968
116 O 0.5587 0.6651 0.9834
117 Na 0.6910 0.6760 0.4109
118 O 0.0294 0.2323 0.1934
119 Na 0.0244 0.3426 0.0776
120 Si 0.2941 0.9789 0.2558

(3)
The following is a GGA-PBE calculation of a geometry-optimized Te4MoW2Se2 structure, from Materials Project.

Summary:
- Relative energy among the computed polymorphs: 0.0002 eV/atom
- SG: No. 156

Cell: 3.4750 3.4750 32.0987 Å, 90.00 90.00 120.00°
Positions (direct):
1 Te 0.0000 0.0000 0.0000
2 Te 0.0000 0.0000 0.1153
3 Te 0.3333 0.6667 0.7689
4 Te 0.3333 0.6667 0.8836
5 Mo 0.0000 0.0000 0.8263
6 W 0.0000 0.0000 0.2890
7 W 0.3333 0.6667 0.0577
8 Se 0.3333 0.6667 0.2382
9 Se 0.3333 0.6667 0.3397

(4)
The following is a GGA-PBE calculation of a geometry-optimized NbSeF9 structure, from Materials Project.

Summary:
- SG: No. 146

Cell: 9.1413 9.1413 9.1413 Å, 93.27 93.27 93.27°
Positions (direct):
1 Nb 0.0000 0.0000 0.0000
2 Nb 0.3890 0.9358 0.6050
3 Nb 0.6050 0.3890 0.9358
4 Nb 0.9358 0.6050 0.3890
5 Se 0.0512 0.5438 0.8495
6 Se 0.4841 0.4841 0.4841
7 Se 0.5438 0.8495 0.0512
8 Se 0.8495 0.0512 0.5438
9 F 0.0264 0.7914 0.9320
10 F 0.0294 0.1045 0.5122
11 F 0.0508 0.9566 0.1951
12 F 0.0756 0.3644 0.7875
13 F 0.1045 0.5122 0.0294
14 F 0.1334 0.6650 0.3648
15 F 0.1951 0.0508 0.9566
16 F 0.1951 0.8716 0.6421
17 F 0.2279 0.6024 0.8098
18 F 0.3056 0.4319 0.5235
19 F 0.3476 0.9646 0.4046
20 F 0.3644 0.7875 0.0756
21 F 0.3648 0.1334 0.6650
22 F 0.4046 0.3476 0.9646
23 F 0.4319 0.5235 0.3056
24 F 0.4331 0.7276 0.5528
25 F 0.4557 0.8935 0.8097
26 F 0.5122 0.0294 0.1045
27 F 0.5235 0.3056 0.4319
28 F 0.5528 0.4331 0.7276
29 F 0.5787 0.6024 0.9827
30 F 0.6024 0.8098 0.2279
31 F 0.6024 0.9827 0.5787
32 F 0.6421 0.1951 0.8716
33 F 0.6650 0.3648 0.1334
34 F 0.7276 0.5528 0.4331
35 F 0.7875 0.0756 0.3644
36 F 0.7914 0.9320 0.0264
37 F 0.8098 0.2279 0.6024
38 F 0.8097 0.4557 0.8935
39 F 0.8716 0.6421 0.1951
40 F 0.8935 0.8097 0.4557
41 F 0.9320 0.0264 0.7914
42 F 0.9566 0.1951 0.0508
43 F 0.9646 0.4046 0.3476
44 F 0.9827 0.5787 0.6024

(5)
The following is a GGA-PBE calculation of a geometry-optimized Na10Zn3Si6Sn5S6O48 structure, from Materials Project.

Summary:
- SG: No. 1

Cell: 9.0281 15.6008 22.6620 Å, 89.16 89.82 89.73°
Positions (direct):
1 Na 0.0000 0.0000 0.0000
2 Na 0.0022 0.6694 0.6719
3 Na 0.0415 0.3078 0.0021
4 Na 0.0515 0.0038 0.3315
5 Na 0.0659 0.6773 0.9971
6 Na 0.1899 0.7988 0.5047
7 Na 0.2180 0.8288 0.8301
8 Na 0.3463 0.6560 0.4238
9 Na 0.3528 0.9886 0.7512
10 Na 0.3544 0.6519 0.9170
11 Na 0.3612 0.3349 0.0897
12 Na 0.3660 0.3299 0.5906
13 Na 0.3665 0.9930 0.2514
14 Na 0.4875 0.4963 0.0077
15 Na 0.5026 0.8301 0.3325
16 Na 0.5035 0.1678 0.6652
17 Na 0.5386 0.8117 0.0036
18 Na 0.5449 0.1508 0.3340
19 Na 0.5589 0.1765 0.0031
20 Na 0.6682 0.3476 0.1734
21 Na 0.6819 0.6759 0.5064
22 Na 0.6858 0.3043 0.5055
23 Na 0.7248 0.9964 0.5016
24 Na 0.8495 0.4920 0.7552
25 Na 0.8498 0.5009 0.2557
26 Na 0.8662 0.1626 0.4199
27 Na 0.8704 0.1574 0.9216
28 Na 0.8702 0.8259 0.5927
29 Na 0.8700 0.8319 0.0901
30 Na 0.9995 0.3302 0.3379
31 Zn 0.3482 0.6668 0.5652
32 Zn 0.3517 0.6530 0.0676
33 Zn 0.3808 0.3333 0.2373
34 Zn 0.3931 0.3387 0.7331
35 Zn 0.8536 0.1654 0.5707
36 Zn 0.8645 0.4963 0.3997
37 Zn 0.8660 0.1579 0.0591
38 Zn 0.8748 0.8335 0.2395
39 Zn 0.9029 0.8288 0.7380
40 Si 0.0089 0.6781 0.8325
41 Si 0.0136 0.6346 0.4982
42 Si 0.0180 0.9821 0.8329
43 Si 0.1522 0.4951 0.0012
44 Si 0.1627 0.8238 0.3330
45 Si 0.2194 0.8098 0.6664
46 Si 0.2200 0.8444 0.0024
47 Si 0.2219 0.1838 0.3309
48 Si 0.2227 0.1422 0.0012
49 Si 0.5110 0.5135 0.1648
50 Si 0.5122 0.1414 0.5026
51 Si 0.5161 0.4763 0.8339
52 Si 0.5183 0.8446 0.4993
53 Si 0.6577 0.9906 0.9991
54 Si 0.6670 0.3349 0.3330
55 Si 0.7178 0.3094 0.6654
56 Si 0.7211 0.3485 0.0012
57 Si 0.7223 0.9701 0.3327
58 Sn 0.3597 0.9950 0.9019
59 Sn 0.3611 0.6591 0.7707
60 Sn 0.3648 0.6578 0.2657
61 Sn 0.3671 0.3198 0.4331
62 Sn 0.3672 0.3342 0.9370
63 Sn 0.3670 0.9925 0.0985
64 Sn 0.3725 0.9935 0.3981
65 Sn 0.3739 0.9885 0.6031
66 Sn 0.8601 0.4932 0.1035
67 Sn 0.8638 0.4925 0.6031
68 Sn 0.8654 0.1606 0.2708
69 Sn 0.8686 0.4927 0.8956
70 Sn 0.8717 0.1645 0.7685
71 Sn 0.8720 0.8214 0.4335
72 Sn 0.8784 0.8363 0.9311
73 S 0.0160 0.3067 0.1667
74 S 0.0171 0.0139 0.1663
75 S 0.0203 0.3467 0.4998
76 S 0.0646 0.6626 0.1670
77 S 0.0731 0.9963 0.5014
78 S 0.0778 0.3254 0.8322
79 S 0.1598 0.1603 0.6657
80 S 0.2204 0.5129 0.6654
81 S 0.2232 0.4745 0.3343
82 S 0.5135 0.1793 0.8330
83 S 0.5160 0.8111 0.1662
84 S 0.5688 0.4921 0.4998
85 S 0.5722 0.1563 0.1659
86 S 0.5765 0.8287 0.8336
87 S 0.6569 0.6606 0.6656
88 S 0.7178 0.6791 0.3315
89 S 0.7221 0.0128 0.6674
90 S 0.7217 0.6428 0.0001
91 O 0.0374 0.8347 0.9975
92 O 0.0390 0.8167 0.6697
93 O 0.0407 0.1697 0.3262
94 O 0.0462 0.1534 0.0082
95 O 0.0456 0.5157 0.9453
96 O 0.0499 0.4757 0.0611
97 O 0.0506 0.5114 0.6616
98 O 0.0613 0.8470 0.2778
99 O 0.0616 0.4830 0.3407
100 O 0.0657 0.1678 0.6132
101 O 0.0704 0.1431 0.7211
102 O 0.0734 0.8076 0.3964
103 O 0.1538 0.6754 0.1130
104 O 0.1597 0.0085 0.4455
105 O 0.1605 0.6471 0.2211
106 O 0.1622 0.3118 0.8897
107 O 0.1712 0.9800 0.5531
108 O 0.1735 0.3325 0.7806
109 O 0.1741 0.3163 0.1743
110 O 0.1855 0.0076 0.1650
111 O 0.1873 0.3433 0.4964
112 O 0.1895 0.6498 0.5036
113 O 0.1946 0.6782 0.8313
114 O 0.2040 0.9841 0.8381
115 O 0.2252 0.2446 0.3910
116 O 0.2304 0.9125 0.0574
117 O 0.2368 0.0792 0.9448
118 O 0.2400 0.5669 0.7198
119 O 0.2471 0.7543 0.6080
120 O 0.2489 0.4049 0.9976
121 O 0.2505 0.4217 0.2826
122 O 0.2539 0.2364 0.6721
123 O 0.2614 0.5771 0.0033
124 O 0.2623 0.0821 0.6636
125 O 0.2669 0.9114 0.3404
126 O 0.2752 0.4249 0.6729
127 O 0.2800 0.7403 0.3258
128 O 0.2867 0.5529 0.6132
129 O 0.2902 0.0863 0.3415
130 O 0.2919 0.4363 0.3901
131 O 0.2935 0.5624 0.3302
132 O 0.2968 0.7668 0.7276
133 O 0.2987 0.8833 0.9421
134 O 0.2990 0.9081 0.6644
135 O 0.2998 0.7520 0.0107
136 O 0.3030 0.2358 0.9915
137 O 0.3072 0.2263 0.2766
138 O 0.3154 0.1044 0.0591
139 O 0.4316 0.8860 0.4416
140 O 0.4367 0.0990 0.5630
141 O 0.4379 0.4400 0.8965
142 O 0.4394 0.8995 0.1653
143 O 0.4397 0.2400 0.4992
144 O 0.4433 0.4163 0.1708
145 O 0.4433 0.5749 0.8287
146 O 0.4490 0.0913 0.8387
147 O 0.4490 0.2184 0.7797
148 O 0.4486 0.7718 0.2226
149 O 0.4540 0.5586 0.1047
150 O 0.4537 0.7486 0.5044
151 O 0.4731 0.4128 0.4957
152 O 0.4764 0.7518 0.8318
153 O 0.4761 0.9065 0.8386
154 O 0.4791 0.7618 0.1137
155 O 0.4800 0.2334 0.1701
156 O 0.4802 0.5694 0.5095
157 O 0.4806 0.0757 0.1648
158 O 0.4832 0.0831 0.4439
159 O 0.4853 0.2297 0.8883
160 O 0.4874 0.5741 0.2247
161 O 0.4892 0.4188 0.7783
162 O 0.5014 0.9118 0.5547
163 O 0.5373 0.3120 0.6710
164 O 0.5398 0.3390 0.9954
165 O 0.5431 0.9871 0.3389
166 O 0.5495 0.6754 0.3285
167 O 0.5523 0.0131 0.9424
168 O 0.5518 0.0141 0.6654
169 O 0.5578 0.9653 0.0580
170 O 0.5608 0.6540 0.0066
171 O 0.5633 0.6455 0.7196
172 O 0.5662 0.3098 0.3935
173 O 0.5695 0.6647 0.6109
174 O 0.5771 0.3454 0.2730
175 O 0.6610 0.5047 0.4473
176 O 0.6621 0.8158 0.8910
177 O 0.6638 0.1442 0.2228
178 O 0.6642 0.4699 0.5537
179 O 0.6710 0.1662 0.1144
180 O 0.6709 0.8396 0.7822
181 O 0.6769 0.8193 0.1720
182 O 0.6803 0.1714 0.8295
183 O 0.6939 0.1482 0.5044
184 O 0.6963 0.4842 0.8415
185 O 0.7008 0.5025 0.1655
186 O 0.7014 0.8423 0.4929
187 O 0.7320 0.4089 0.0606
188 O 0.7343 0.7326 0.3877
189 O 0.7343 0.9071 0.2785
190 O 0.7419 0.2546 0.6059
191 O 0.7452 0.5873 0.9486
192 O 0.7476 0.0709 0.7191
193 O 0.7506 0.7368 0.6703
194 O 0.7551 0.8999 0.9934
195 O 0.7605 0.5812 0.6653
196 O 0.7641 0.0728 0.0055
197 O 0.7667 0.2417 0.3296
198 O 0.7772 0.9261 0.6758
199 O 0.7800 0.5931 0.3390
200 O 0.7811 0.7217 0.2802
201 O 0.7829 0.0503 0.6121
202 O 0.7853 0.4117 0.3427
203 O 0.7927 0.2538 0.0073
204 O 0.7927 0.7292 0.9935
205 O 0.7962 0.6064 0.0543
206 O 0.7995 0.0661 0.3273
207 O 0.7986 0.2647 0.7245
208 O 0.7999 0.4061 0.6621
209 O 0.8046 0.9341 0.3940
210 O 0.8077 0.3921 0.9457
211 O 0.9264 0.5986 0.5610
212 O 0.9312 0.7342 0.4971
213 O 0.9366 0.3931 0.1661
214 O 0.9378 0.7170 0.7734
215 O 0.9392 0.0784 0.8272
216 O 0.9418 0.2670 0.2222
217 O 0.9430 0.5817 0.8389
218 O 0.9471 0.9479 0.8968
219 O 0.9498 0.9288 0.1713
220 O 0.9527 0.3840 0.4462
221 O 0.9567 0.2597 0.5074
222 O 0.9584 0.0588 0.1141
223 O 0.9671 0.7374 0.1745
224 O 0.9676 0.5787 0.4433
225 O 0.9749 0.0711 0.5078
226 O 0.9746 0.5809 0.1641
227 O 0.9783 0.2476 0.8309
228 O 0.9797 0.2570 0.1144
229 O 0.9811 0.9158 0.4983
230 O 0.9830 0.4034 0.8364
231 O 0.9864 0.7382 0.8938
232 O 0.9893 0.0654 0.2226
233 O 0.9905 0.4000 0.5536
234 O 0.9963 0.9185 0.7797

Taking the records one at a time from the top gives energy of formation from the pure elements values of -3.452 -2.905 -0.382 -2.790 -2.248 eV/atom.